# Hf6Ga16Ni7 (PBE, relaxed)
data_Hf6Ga16Ni7
_space_group_name_H-M_alt 'F m -3 m'
_space_group_IT_number 225
_space_group_name_Hall '-F 4 2 3'
_cell_length_a 12.0453
_cell_length_b 12.0453
_cell_length_c 12.0453
_cell_angle_alpha 90.00
_cell_angle_beta 90.00
_cell_angle_gamma 90.00
loop_
_atom_site_label
_atom_site_fract_x
_atom_site_fract_y
_atom_site_fract_z
_atom_site_occupancy
Hf1 0.0000 0.0000 0.1903 1
Ga1 0.1196 0.1196 0.3804 1
Ga2 0.1621 0.1621 0.1621 1
Ni1 0.0000 0.0000 0.5000 1
Ni2 0.0000 0.2500 0.2500 1
# Spin magnetization in μB per atom: 0.00
# Energy of formation in eV per atom: -0.459
# Electronic total energy in eV for the cell shown: -647.91

---

# Ca2GeO4 (PBE, relaxed)
data_Ca2GeO4
_space_group_name_H-M_alt 'P n m a'
_space_group_IT_number 62
_space_group_name_Hall '-P 2ac 2n'
_cell_length_a 11.5196
_cell_length_b 6.8495
_cell_length_c 5.2916
_cell_angle_alpha 90.00
_cell_angle_beta 90.00
_cell_angle_gamma 90.00
loop_
_atom_site_label
_atom_site_fract_x
_atom_site_fract_y
_atom_site_fract_z
_atom_site_occupancy
Ca1 0.0000 0.0000 0.0000 1
Ca2 0.2201 0.2500 0.4932 1
Ge1 0.0960 0.7500 0.4307 1
O1 0.0463 0.2500 0.7135 1
O2 0.0927 0.7500 0.7641 1
O3 0.1637 0.5436 0.2837 1
# Excess energy over the best structure of this formula in the dataset in meV per atom: 0
# Energy of formation in eV per atom: -2.990
# Electronic total energy in eV for the cell shown: -186.44

---

# Nd3PbN (PBE, relaxed)
data_Nd3PbN
_space_group_name_H-M_alt 'P m -3 m'
_space_group_IT_number 221
_space_group_name_Hall '-P 4 2 3'
_cell_length_a 5.0444
_cell_length_b 5.0444
_cell_length_c 5.0444
_cell_angle_alpha 90.00
_cell_angle_beta 90.00
_cell_angle_gamma 90.00
loop_
_atom_site_label
_atom_site_fract_x
_atom_site_fract_y
_atom_site_fract_z
_atom_site_occupancy
Nd1 0.0000 0.0000 0.5000 1
Pb1 0.5000 0.5000 0.5000 1
N1 0.0000 0.0000 0.0000 1
# Excess energy over the best structure of this formula in the dataset in meV per atom: 0
# Energy of formation in eV per atom: -0.939
# Electronic total energy in eV for the cell shown: -30.69